i:
# CaHf8N8O4

An optimized crystal structure of CaHf8N8O4 (GGA-PBE, Materials Project).

Summary:
Total magnetic moment = 0.00 μB/cell

Geometry as extended XYZ:
```
21
Lattice="-3.093 2.211 4.134 1.488 4.747 2.608 -8.005 7.313 -3.353" Properties=species:S:1:pos:R:3 pbc="T T T"
Hf -8.064 9.976 -0.578
Hf -1.753 4.036 0.380
Hf -6.887 6.550 -1.731
Hf -3.950 3.618 2.681
Hf -3.389 7.471 1.443
Hf -1.233 5.189 4.137
Hf -7.959 11.152 3.237
Hf -5.542 5.171 0.644
O -6.809 8.754 -1.803
O -5.896 10.724 3.794
O -1.591 1.855 0.511
O -4.910 8.361 4.685
N -3.917 3.724 0.462
N -5.094 6.895 -0.385
N -4.499 5.951 2.445
N -1.936 3.904 2.694
N -4.730 9.169 1.417
N -7.508 11.264 1.060
N -2.748 6.294 5.188
N -8.948 8.513 0.631
Ca -6.802 8.116 1.913
```



ii:
# CaHf8N8O4

An optimized crystal structure of CaHf8N8O4 (GGA-PBE, Materials Project).

Summary:
Total magnetic moment = 0.01 μB/cell

Geometry as extended XYZ:
```
21
Lattice="-0.508 0.690 5.700 4.565 -0.965 3.357 -0.129 11.097 -1.239" Properties=species:S:1:pos:R:3 pbc="T T T"
N 2.090 9.585 3.448
N 1.344 1.541 3.547
N 3.563 9.441 6.830
N 1.812 4.143 5.134
N 2.726 1.633 6.614
N 0.526 4.248 2.338
N 2.723 6.274 3.119
N 0.729 6.859 5.798
O 0.052 1.983 0.504
O 3.951 5.898 6.189
O 3.511 3.413 2.629
O 0.467 9.646 0.747
Ca 1.987 10.386 5.542
Hf 3.468 8.269 2.948
Hf 2.510 5.128 1.279
Hf 0.685 10.575 2.485
Hf 3.090 2.218 4.671
Hf 1.784 2.335 1.558
Hf 0.021 3.036 4.165
Hf 0.866 5.882 3.974
Hf 3.951 4.961 4.351
```



Stability check: which of them is least stable? ii.



i:
# Zn2MoN3

An optimized crystal structure of Zn2MoN3 (GGA-PBE, Materials Project).

Summary:
Total magnetic moment = 0.00 μB/cell

Geometry as extended XYZ:
```
12
Lattice="-4.589 -3.435 -0.352 3.255 -0.032 4.732 -2.894 4.040 1.761" Properties=species:S:1:pos:R:3 pbc="T T T"
Zn -2.262 -2.676 2.118
Zn 0.287 -1.570 3.770
Zn -3.281 0.365 1.554
Zn -0.650 1.506 3.259
Mo -0.262 -0.457 0.710
Mo -2.777 -0.546 4.651
N -1.699 -2.175 4.077
N -4.057 -0.321 3.301
N -2.036 -1.091 0.791
N -1.499 0.789 4.959
N -2.114 1.997 1.925
N 0.447 -0.014 2.400
```



ii:
# Zn2MoN3

An optimized crystal structure of Zn2MoN3 (GGA-PBE, Materials Project).

Summary:
Total magnetic moment = 1.06 μB/cell

Geometry as extended XYZ:
```
12
Lattice="-2.764 4.581 -2.038 0.743 -4.617 -3.303 -4.639 -2.012 1.768" Properties=species:S:1:pos:R:3 pbc="T T T"
N -3.464 -1.358 0.268
N -0.736 -1.766 -1.607
N -2.469 -0.375 -4.117
N -4.938 0.146 -2.342
N -1.853 1.165 -1.204
N -3.820 -2.785 -2.745
Zn -2.031 1.464 -3.222
Zn -0.856 -1.619 -3.646
Zn -3.736 0.468 -0.715
Zn -2.561 -2.614 -1.139
Mo -4.220 -1.121 -3.550
Mo -0.510 -0.090 -0.758
```



Stability check: which of them is least stable? ii.



i:
# Sc

An optimized crystal structure of Sc (GGA-PBE, Materials Project).

Summary:
Total magnetic moment = 0.09 μB/cell

Geometry as extended XYZ:
```
4
Lattice="-2.048 -2.783 4.179 -0.856 -4.254 -3.252 3.134 -1.196 0.740" Properties=species:S:1:pos:R:3 pbc="T T T"
Sc 0.645 -2.029 2.484
Sc 0.000 0.000 0.000
Sc -1.452 -3.518 0.463
Sc 1.037 -2.686 -1.280
```



ii:
# Sc

An optimized crystal structure of Sc (GGA-PBE, Materials Project).

Geometry as extended XYZ:
```
1
Lattice="0.706 1.908 2.555 0.156 3.241 -0.375 -2.310 1.907 1.302" Properties=species:S:1:pos:R:3 pbc="T T T"
Sc 0.000 0.000 0.000
```



Stability check: which of them is least stable? i.



i:
# BeC2

An optimized crystal structure of BeC2 (GGA-PBE, Materials Project).

Summary:
Total magnetic moment = 0.00 μB/cell

Geometry as extended XYZ:
```
12
Lattice="-5.195 -1.982 -1.954 0.675 -4.911 3.187 -2.700 2.586 4.556" Properties=species:S:1:pos:R:3 pbc="T T T"
C -7.118 0.104 2.655
C -0.655 -0.391 0.525
C -4.355 -6.034 1.534
C -2.956 -1.763 2.369
C -3.775 -3.013 2.593
C -2.313 -2.294 6.864
C -3.323 -2.185 3.774
C -4.388 -1.654 2.841
Be -4.065 -4.523 2.064
Be -5.753 -0.775 2.748
Be -1.805 -1.077 1.447
Be -2.818 -2.240 5.319
```



ii:
# BeC2

An optimized crystal structure of BeC2 (GGA-PBE, Materials Project).

Summary:
Total magnetic moment = 0.00 μB/cell

Geometry as extended XYZ:
```
6
Lattice="3.360 0.000 0.000 0.000 3.360 0.000 0.000 0.000 5.172" Properties=species:S:1:pos:R:3 pbc="T T T"
C 1.236 2.124 2.586
C 2.124 1.236 2.586
C 0.444 0.444 0.000
C 2.916 2.916 0.000
Be 1.680 1.680 0.000
Be 0.000 0.000 2.586
```



Stability check: which of them is least stable? i.



i:
# MgCo4Ni2S8

An optimized crystal structure of MgCo4Ni2S8 (GGA-PBE, Materials Project).

Summary:
Total magnetic moment = 0.00 μB/cell

Geometry as extended XYZ:
```
15
Lattice="5.883 0.130 3.609 2.083 5.503 3.609 0.184 0.130 6.899" Properties=species:S:1:pos:R:3 pbc="T T T"
Co 1.134 2.816 5.254
Co 3.033 0.130 5.254
Co 4.075 2.881 7.058
Co 3.983 2.816 3.609
S 6.001 4.243 10.393
S 5.911 4.180 7.246
S 3.320 4.180 8.743
S 4.830 1.583 5.374
S 5.048 1.737 8.743
S 2.149 1.520 3.723
S 2.239 1.583 6.870
S 3.102 4.026 5.374
Mg 0.000 0.000 0.000
Ni 7.018 4.963 12.156
Ni 1.132 0.800 1.960
```



ii:
# MgCo4Ni2S8

An optimized crystal structure of MgCo4Ni2S8 (GGA-PBE, Materials Project).

Summary:
Total magnetic moment = 1.94 μB/cell

Geometry as extended XYZ:
```
15
Lattice="6.053 0.000 3.485 2.015 5.699 3.490 -0.008 0.000 6.984" Properties=species:S:1:pos:R:3 pbc="T T T"
Co 1.259 2.758 5.239
Co 3.907 2.758 3.710
Co 3.893 2.744 6.743
Co 3.026 0.292 5.242
S 6.077 4.290 6.934
S 5.037 1.385 8.724
S 2.967 4.290 8.730
S 2.076 1.477 6.859
S 3.020 4.118 5.230
S 4.902 1.477 5.227
S 6.063 4.288 10.501
S 2.087 1.482 3.615
Ni 1.007 0.713 1.744
Ni 7.050 4.989 12.210
Mg 5.029 3.572 8.711
```



Stability check: which of them is least stable? ii.



i:
# BaReH9

An optimized crystal structure of BaReH9 (GGA-PBE, Materials Project).

Summary:
Total magnetic moment = 0.00 μB/cell

Geometry as extended XYZ:
```
11
Lattice="-4.318 -2.089 0.102 2.479 -4.075 0.519 0.050 1.149 4.658" Properties=species:S:1:pos:R:3 pbc="T T T"
H -0.014 -3.582 3.623
H -1.679 -2.435 4.148
H 0.139 -1.741 3.717
H 0.530 -2.106 1.797
H -1.420 -2.197 1.050
H -2.502 -2.037 2.541
H -1.850 -3.915 2.684
H -0.933 -0.809 2.534
H -0.320 -3.743 1.660
Ba 0.000 0.000 0.000
Re -0.894 -2.507 2.639
```



ii:
# BaReH9

An optimized crystal structure of BaReH9 (GGA-PBE, Materials Project).

Summary:
Total magnetic moment = 0.00 μB/cell

Geometry as extended XYZ:
```
22
Lattice="10.061 0.000 0.000 0.000 3.809 0.000 0.000 0.246 5.235" Properties=species:S:1:pos:R:3 pbc="T T T"
H 1.412 2.049 1.437
H 9.108 2.001 1.803
H 6.442 2.005 3.798
H 2.515 0.751 5.225
H 1.641 3.731 2.818
H 0.953 2.054 3.432
H 8.649 2.005 3.798
H 6.672 0.324 2.417
H 7.546 3.304 0.011
H 3.389 3.731 2.818
H 5.984 2.001 1.803
H 7.546 3.974 4.586
H 4.077 2.054 3.432
H 7.546 1.534 0.791
H 2.515 2.521 4.444
H 8.420 0.324 2.417
H 3.619 2.049 1.437
H 2.515 0.081 0.649
Re 7.546 1.770 2.458
Re 2.515 2.285 2.777
Ba 5.031 0.000 0.000
Ba 0.000 0.000 0.000
```



Stability check: which of them is least stable? ii.